1.
Compound: Eu3Ga5
Source: the Materials Project database
Functional: GGA-PBE
Structure: relaxed

Calculated values
SG: Cmcm (63)

a b c (Å): 5.9598 5.9598 15.0993
angles (deg): 90.00 90.00 134.32
Closest atoms and distances in Å follow each position.
Sites, in units of the cell vectors:
Eu (0.0923, 0.9077, 0.6072)  11 Ga 3.15-3.43
Eu (0.0923, 0.9077, 0.8928)  11 Ga 3.15-3.43
Eu (0.3743, 0.6257, 0.7500)  9 Ga 3.23-3.38
Eu (0.6257, 0.3743, 0.2500)  9 Ga 3.23-3.38
Eu (0.9077, 0.0923, 0.1072)  11 Ga 3.15-3.43
Eu (0.9077, 0.0923, 0.3928)  11 Ga 3.15-3.43
Ga (0.2069, 0.7931, 0.0981)  4 Ga 2.67-2.79
Ga (0.2069, 0.7931, 0.4019)  4 Ga 2.67-2.79
Ga (0.3319, 0.6681, 0.2500)  2 Ga 2.67
Ga (0.3848, 0.6152, 0.5338)  4 Ga 2.70-2.79
Ga (0.3848, 0.6152, 0.9662)  4 Ga 2.70-2.79
Ga (0.6152, 0.3848, 0.0338)  4 Ga 2.70-2.79
Ga (0.6152, 0.3848, 0.4662)  4 Ga 2.70-2.79
Ga (0.6681, 0.3319, 0.7500)  2 Ga 2.67
Ga (0.7931, 0.2069, 0.5981)  4 Ga 2.67-2.79
Ga (0.7931, 0.2069, 0.9019)  4 Ga 2.67-2.79

2.
Compound: BaTbEuSbO6
Source: the Materials Project database
Functional: GGA-PBE
Structure: relaxed

Calculated values
Energy relative to the lowest polymorph listed for this composition: 0.006 eV per atom
Total magnetic moment: 7.00 μB per formula unit
SG: Pnnn (48)

a b c (Å): 8.4411 8.4448 8.4738
angles (deg): 90.00 90.00 90.00
Closest atoms and distances in Å follow each position.
Sites, in units of the cell vectors:
Ba (0.2500, 0.2500, 0.2500)  8 O 2.70-3.02
Ba (0.2500, 0.7500, 0.2500)  12 O 2.98-3.01
Ba (0.7500, 0.2500, 0.7500)  12 O 2.98-3.01
Ba (0.7500, 0.7500, 0.7500)  8 O 2.70-3.02
Tb (0.0000, 0.0000, 0.0000)  6 O 2.25-2.27
Tb (0.0000, 0.5000, 0.5000)  6 O 2.25-2.27
Tb (0.5000, 0.0000, 0.5000)  6 O 2.25-2.27
Tb (0.5000, 0.5000, 0.0000)  6 O 2.25-2.27
Eu (0.2500, 0.2500, 0.7500)  4 O 2.62
Eu (0.2500, 0.7500, 0.7500)  4 O 2.61
Eu (0.7500, 0.2500, 0.2500)  4 O 2.61
Eu (0.7500, 0.7500, 0.2500)  4 O 2.62
Sb (0.0000, 0.0000, 0.5000)  6 O 2.01-2.03
Sb (0.0000, 0.5000, 0.0000)  6 O 2.01-2.03
Sb (0.5000, 0.0000, 0.0000)  6 O 2.01-2.03
Sb (0.5000, 0.5000, 0.5000)  6 O 2.01-2.03
O (0.0290, 0.0333, 0.7354)  1 Sb 2.03
O (0.0290, 0.4667, 0.7646)  1 Sb 2.03
O (0.0323, 0.7354, 0.9686)  1 Sb 2.02, 1 Tb 2.27
O (0.0323, 0.7646, 0.5314)  1 Sb 2.02, 1 Tb 2.27
O (0.2360, 0.0250, 0.4756)  1 Sb 2.01, 1 Tb 2.25
O (0.2360, 0.4750, 0.0244)  1 Sb 2.01, 1 Tb 2.25
O (0.2640, 0.0250, 0.0244)  1 Sb 2.01, 1 Tb 2.25
O (0.2640, 0.4750, 0.4756)  1 Sb 2.01, 1 Tb 2.25
O (0.4677, 0.7354, 0.5314)  1 Sb 2.02, 1 Tb 2.27
O (0.4677, 0.7646, 0.9686)  1 Sb 2.02, 1 Tb 2.27
O (0.4710, 0.0333, 0.7646)  1 Sb 2.03
O (0.4710, 0.4667, 0.7354)  1 Sb 2.03
O (0.5290, 0.5333, 0.2646)  1 Sb 2.03
O (0.5290, 0.9667, 0.2354)  1 Sb 2.03
O (0.5323, 0.2354, 0.0314)  1 Sb 2.02, 1 Tb 2.27
O (0.5323, 0.2646, 0.4686)  1 Sb 2.02, 1 Tb 2.27
O (0.7360, 0.5250, 0.5244)  1 Sb 2.01, 1 Tb 2.25
O (0.7360, 0.9750, 0.9756)  1 Sb 2.01, 1 Tb 2.25
O (0.7640, 0.5250, 0.9756)  1 Sb 2.01, 1 Tb 2.25
O (0.7640, 0.9750, 0.5244)  1 Sb 2.01, 1 Tb 2.25
O (0.9677, 0.2354, 0.4686)  1 Sb 2.02, 1 Tb 2.27
O (0.9677, 0.2646, 0.0314)  1 Sb 2.02, 1 Tb 2.27
O (0.9710, 0.5333, 0.2354)  1 Sb 2.03
O (0.9710, 0.9667, 0.2646)  1 Sb 2.03

3.
Compound: AlZnCu3Se4
Source: the Materials Project database
Functional: GGA-PBE
Structure: relaxed

Calculated values
Total magnetic moment: 0.00 μB per formula unit
SG: P-43m (215)

a b c (Å): 5.7156 5.7156 5.7156
angles (deg): 90.00 90.00 90.00
Closest atoms and distances in Å follow each position.
Sites, in units of the cell vectors:
Al (0.0000, 0.0000, 0.0000)  4 Se 2.46
Zn (0.5000, 0.5000, 0.5000)  4 Se 2.49
Cu (0.0000, 0.0000, 0.5000)  4 Se 2.47
Cu (0.0000, 0.5000, 0.0000)  4 Se 2.47
Cu (0.5000, 0.0000, 0.0000)  4 Se 2.47
Se (0.2483, 0.2483, 0.2483)  1 Al 2.46, 3 Cu 2.47, 1 Zn 2.49
Se (0.2483, 0.7517, 0.7517)  1 Al 2.46, 3 Cu 2.47, 1 Zn 2.49
Se (0.7517, 0.2483, 0.7517)  1 Al 2.46, 3 Cu 2.47, 1 Zn 2.49
Se (0.7517, 0.7517, 0.2483)  1 Al 2.46, 3 Cu 2.47, 1 Zn 2.49

4.
Compound: ErPbAu
Source: the Materials Project database
Functional: GGA-PBE
Structure: relaxed

Calculated values
SG: F-43m (216)

a b c (Å): 4.8199 4.8199 4.8199
angles (deg): 60.00 60.00 60.00
Closest atoms and distances in Å follow each position.
Sites, in units of the cell vectors:
Er (0.0000, 0.0000, 0.0000)  4 Au 2.95
Pb (0.5000, 0.5000, 0.5000)  4 Au 2.95
Au (0.2500, 0.2500, 0.2500)  4 Pb 2.95, 4 Er 2.95

These records have total energy values of -100.61, -307.91, -34.04, -13.53 eV/cell, in the order they appear.
These records have calculated formation energy values of -0.55, -3.05, -0.52, -0.66 eV per atom, in the order they appear.